First-principles (GGA+U) data for crystalline Cr3CoTe2P6O24 at its relaxed geometry, as listed in the Materials Project database.

ΔH_f (0 K): -2.292 eV per atom
volume: 1421 Å³ per cell

The structure in CIF format:
```
data_Cr3CoTe2P6O24
_chemical_formula_sum 'Cr9 Co3 Te6 P18 O72'
_cell_length_a 8.6504
_cell_length_b 8.6504
_cell_length_c 21.9201
_cell_angle_alpha 90.00
_cell_angle_beta 90.00
_cell_angle_gamma 120.00
_space_group_name_H-M_alt 'R 3'
_space_group_IT_number 146
_space_group_name_Hall 'R 3'
loop_
_atom_site_label
_atom_site_fract_x
_atom_site_fract_y
_atom_site_fract_z
Cr1 0.0000 0.0000 0.0000
Cr2 0.0000 0.0000 0.2102
Cr3 0.0000 0.0000 0.7065
Co1 0.0000 0.0000 0.5117
Te1 0.0000 0.0000 0.3673
Te2 0.0000 0.0000 0.8582
P1 0.0405 0.3726 0.2701
P2 0.0475 0.6695 0.7682
O1 0.0108 0.8102 0.0432
O2 0.0123 0.2159 0.5433
O3 0.0128 0.1791 0.2734
O4 0.0183 0.8335 0.7689
O5 0.1355 0.6675 0.8278
O6 0.1401 0.4651 0.3283
O7 0.1704 0.4882 0.6045
O8 0.1708 0.6849 0.0980
```

First-principles (GGA+U) data for crystalline Cr3Co3Sb2O16 at its relaxed geometry, as listed in the Materials Project database.

ΔH_f (0 K): -1.622 eV per atom
volume: 267 Å³ per cell

The structure in CIF format:
```
data_Cr3Co3Sb2O16
_chemical_formula_sum 'Cr3 Co3 Sb2 O16'
_cell_length_a 5.766
_cell_length_b 5.787
_cell_length_c 9.212
_cell_angle_alpha 89.41
_cell_angle_beta 88.61
_cell_angle_gamma 60.20
_space_group_name_H-M_alt 'P 1'
_space_group_IT_number 1
loop_
_space_group_symop_operation_xyz
'x,y,z'
loop_
_atom_site_label
_atom_site_fract_x
_atom_site_fract_y
_atom_site_fract_z
Cr1 0.000 0.000 0.000
Cr2 0.175 0.661 0.506
Cr3 0.512 0.494 0.017
Co1 0.166 0.169 0.512
Co2 0.512 0.000 0.012
Co3 0.678 0.659 0.513
Sb1 0.009 0.482 0.235
Sb2 0.663 0.158 0.730
O1 0.007 0.990 0.620
O2 0.176 0.654 0.118
O3 0.178 0.148 0.125
O4 0.301 0.347 0.389
O5 0.340 0.837 0.919
O6 0.349 0.829 0.418
O7 0.377 0.308 0.892
O8 0.493 0.986 0.623
O9 0.498 0.503 0.621
O10 0.671 0.657 0.120
O11 0.682 0.154 0.118
O12 0.816 0.312 0.882
O13 0.818 0.864 0.884
O14 0.851 0.790 0.386
O15 0.853 0.346 0.396
O16 0.994 0.497 0.613
```

First-principles (GGA+U) data for crystalline CrCo4SbO8 at its relaxed geometry, as listed in the Materials Project database.

ΔH_f (0 K): -1.677 eV per atom
volume: 322 Å³ per cell

The structure in CIF format:
```
data_CrCo4SbO8
_chemical_formula_sum 'Cr2 Co8 Sb2 O16'
_cell_length_a 10.533
_cell_length_b 6.029
_cell_length_c 6.132
_cell_angle_alpha 90.00
_cell_angle_beta 124.20
_cell_angle_gamma 90.00
_space_group_name_H-M_alt 'C 1 2/m 1'
_space_group_IT_number 12
loop_
_space_group_symop_operation_xyz
'x,y,z'
'-x,-y,-z'
'-x,y,-z'
'x,-y,z'
'x+1/2,y+1/2,z'
'-x+1/2,-y+1/2,-z'
'-x+1/2,y+1/2,-z'
'x+1/2,-y+1/2,z'
loop_
_atom_site_label
_atom_site_fract_x
_atom_site_fract_y
_atom_site_fract_z
Cr1 0.000 0.000 0.000
Co1 0.138 0.500 0.402
Co2 0.250 0.250 0.000
Sb1 0.000 0.000 0.500
O1 0.000 0.226 0.253
O2 0.230 0.000 0.741
O3 0.232 0.000 0.210
```